No. 1
UPb2: relaxed, PBE.

Calculated values
The value obtained for the total magnetization is 3.7 μB per formula unit. As for the energy of formation from the pure elements: 784 meV per atom. Its crystal system is tetragonal. The value obtained for the energy is -5.46 eV/atom.

Lattice parameters (Å, degrees): 8.7212 8.7212 8.7212 120.41 120.41 89.29
With the nearest neighbours (Å) after each atom.
Atoms (fractional coordinates):
U  0.0000  0.0000  0.0000  6 Pb 3.44-3.48
U  0.0000  0.0000  0.5000  6 Pb 3.44-3.48
U  0.0000  0.5000  0.0000  6 Pb 3.44-3.48
U  0.5000  0.0000  0.5000  6 Pb 3.44-3.48
Pb  0.2773  0.3335  0.5561  3 Pb 3.36-3.39, 3 U 3.44-3.48
Pb  0.2773  0.7212  0.9439  3 Pb 3.36-3.39, 3 U 3.44-3.48
Pb  0.2788  0.7227  0.5561  3 Pb 3.36-3.39, 3 U 3.44-3.48
Pb  0.3335  0.2773  0.0561  3 Pb 3.36-3.39, 3 U 3.44-3.48
Pb  0.6665  0.7227  0.9439  3 Pb 3.36-3.39, 3 U 3.44-3.48
Pb  0.7212  0.2773  0.4439  3 Pb 3.36-3.39, 3 U 3.44-3.48
Pb  0.7227  0.2788  0.0561  3 Pb 3.36-3.39, 3 U 3.44-3.48
Pb  0.7227  0.6665  0.4439  3 Pb 3.36-3.39, 3 U 3.44-3.48

No. 2
V3Pb: relaxed, PBE.

Calculated values
The value obtained for the total magnetization is 0.0 μB per formula unit. As for the energy of formation from the pure elements: 248 meV per atom. Its crystal system is cubic. The value obtained for the energy is -7.49 eV/atom.

Lattice parameters (Å, degrees): 5.0275 5.0275 5.0275 90.00 90.00 90.00
With the nearest neighbours (Å) after each atom.
Atoms (fractional coordinates):
V  0.0000  0.2500  0.5000  2 V 2.51, 4 Pb 2.81
V  0.0000  0.7500  0.5000  2 V 2.51, 4 Pb 2.81
V  0.2500  0.5000  0.0000  2 V 2.51, 4 Pb 2.81
V  0.5000  0.0000  0.2500  2 V 2.51, 4 Pb 2.81
V  0.5000  0.0000  0.7500  2 V 2.51, 4 Pb 2.81
V  0.7500  0.5000  0.0000  2 V 2.51, 4 Pb 2.81
Pb  0.0000  0.0000  0.0000  12 V 2.81
Pb  0.5000  0.5000  0.5000  12 V 2.81

No. 3
YPb3: relaxed, PBE.

Calculated values
As for the energy of formation from the pure elements: -294 meV per atom. Its crystal system is cubic. The value obtained for the energy is -4.70 eV/atom.

Lattice parameters (Å, degrees): 4.9060 4.9060 4.9060 90.00 90.00 90.00
With the nearest neighbours (Å) after each atom.
Atoms (fractional coordinates):
Y  0.0000  0.0000  0.0000  12 Pb 3.47
Pb  0.0000  0.5000  0.5000  8 Pb 3.47, 4 Y 3.47
Pb  0.5000  0.0000  0.5000  8 Pb 3.47, 4 Y 3.47
Pb  0.5000  0.5000  0.0000  8 Pb 3.47, 4 Y 3.47

No. 4
Y3Pb: relaxed, PBE.

Calculated values
The value obtained for the total magnetization is 0.8 μB per formula unit. As for the energy of formation from the pure elements: -276 meV per atom. Its crystal system is tetragonal. The value obtained for the energy is -6.05 eV/atom.

Lattice parameters (Å, degrees): 6.3099 6.3099 6.3099 136.05 136.05 63.90
With the nearest neighbours (Å) after each atom.
Atoms (fractional coordinates):
Y  0.0000  0.0000  0.0000  4 Pb 3.34, 8 Y 3.57
Y  0.2500  0.7500  0.5000  8 Y 3.34-3.57, 4 Pb 3.57
Y  0.7500  0.2500  0.5000  8 Y 3.34-3.57, 4 Pb 3.57
Pb  0.5000  0.5000  0.0000  12 Y 3.34-3.57

Q: Which of these has the highest energy?
A: YPb3

What did the first record say?
UPb2: relaxed, PBE.

Calculated values
The value obtained for the total magnetization is 3.7 μB per formula unit. As for the energy of formation from the pure elements: 784 meV per atom. Its crystal system is tetragonal. The value obtained for the energy is -5.46 eV/atom.

Lattice parameters (Å, degrees): 8.7212 8.7212 8.7212 120.41 120.41 89.29
With the nearest neighbours (Å) after each atom.
Atoms (fractional coordinates):
U  0.0000  0.0000  0.0000  6 Pb 3.44-3.48
U  0.0000  0.0000  0.5000  6 Pb 3.44-3.48
U  0.0000  0.5000  0.0000  6 Pb 3.44-3.48
U  0.5000  0.0000  0.5000  6 Pb 3.44-3.48
Pb  0.2773  0.3335  0.5561  3 Pb 3.36-3.39, 3 U 3.44-3.48
Pb  0.2773  0.7212  0.9439  3 Pb 3.36-3.39, 3 U 3.44-3.48
Pb  0.2788  0.7227  0.5561  3 Pb 3.36-3.39, 3 U 3.44-3.48
Pb  0.3335  0.2773  0.0561  3 Pb 3.36-3.39, 3 U 3.44-3.48
Pb  0.6665  0.7227  0.9439  3 Pb 3.36-3.39, 3 U 3.44-3.48
Pb  0.7212  0.2773  0.4439  3 Pb 3.36-3.39, 3 U 3.44-3.48
Pb  0.7227  0.2788  0.0561  3 Pb 3.36-3.39, 3 U 3.44-3.48
Pb  0.7227  0.6665  0.4439  3 Pb 3.36-3.39, 3 U 3.44-3.48

Q: The highest energy of formation from the pure elements belongs to which entry?
A: UPb2

Please write out number 2 again, unchanged.
V3Pb: relaxed, PBE.

Calculated values
The value obtained for the total magnetization is 0.0 μB per formula unit. As for the energy of formation from the pure elements: 248 meV per atom. Its crystal system is cubic. The value obtained for the energy is -7.49 eV/atom.

Lattice parameters (Å, degrees): 5.0275 5.0275 5.0275 90.00 90.00 90.00
With the nearest neighbours (Å) after each atom.
Atoms (fractional coordinates):
V  0.0000  0.2500  0.5000  2 V 2.51, 4 Pb 2.81
V  0.0000  0.7500  0.5000  2 V 2.51, 4 Pb 2.81
V  0.2500  0.5000  0.0000  2 V 2.51, 4 Pb 2.81
V  0.5000  0.0000  0.2500  2 V 2.51, 4 Pb 2.81
V  0.5000  0.0000  0.7500  2 V 2.51, 4 Pb 2.81
V  0.7500  0.5000  0.0000  2 V 2.51, 4 Pb 2.81
Pb  0.0000  0.0000  0.0000  12 V 2.81
Pb  0.5000  0.5000  0.5000  12 V 2.81